Entry 1:
VASP calculation (GGA+U) on crystalline HfCrO4 at its relaxed geometry.

a = 4.686 Å, b = 11.765 Å, c = 4.902 Å
α = 90.00°, β = 90.00°, γ = 90.00°
Atoms (fractional coordinates):
Hf (0.000, 0.173, 0.250)
Hf (0.000, 0.827, 0.750)
Hf (0.500, 0.327, 0.750)
Hf (0.500, 0.673, 0.250)
Cr (0.000, 0.433, 0.250)
Cr (0.000, 0.567, 0.750)
Cr (0.500, 0.067, 0.750)
Cr (0.500, 0.933, 0.250)
O (0.223, 0.314, 0.087)
O (0.223, 0.686, 0.587)
O (0.228, 0.444, 0.570)
O (0.228, 0.556, 0.070)
O (0.272, 0.056, 0.070)
O (0.272, 0.944, 0.570)
O (0.277, 0.186, 0.587)
O (0.277, 0.814, 0.087)
O (0.723, 0.186, 0.913)
O (0.723, 0.814, 0.413)
O (0.728, 0.056, 0.430)
O (0.728, 0.944, 0.930)
O (0.772, 0.444, 0.930)
O (0.772, 0.556, 0.430)
O (0.777, 0.314, 0.413)
O (0.777, 0.686, 0.913)

Summary:
Corrected total energy (MP2020 scheme): -9.540 eV per atom
Magnetic moment: 8.000 μB/cell
Uncorrected energy: -8.749 eV/atom
Energy relative to the elements: -2.973 eV/atom

***

Entry 2:
VASP calculation (GGA+U) on crystalline HfCrO4 at its relaxed geometry.

a = 4.906 Å, b = 4.709 Å, c = 11.722 Å
α = 90.00°, β = 91.05°, γ = 90.00°
Atoms (fractional coordinates):
Hf (0.237, 0.005, 0.331)
Hf (0.237, 0.495, 0.831)
Hf (0.763, 0.505, 0.169)
Hf (0.763, 0.995, 0.669)
Cr (0.259, 0.502, 0.569)
Cr (0.259, 0.998, 0.069)
Cr (0.741, 0.002, 0.931)
Cr (0.741, 0.498, 0.431)
O (0.072, 0.222, 0.946)
O (0.072, 0.278, 0.446)
O (0.088, 0.228, 0.189)
O (0.088, 0.272, 0.689)
O (0.412, 0.716, 0.686)
O (0.412, 0.784, 0.186)
O (0.436, 0.735, 0.446)
O (0.436, 0.765, 0.946)
O (0.564, 0.235, 0.054)
O (0.564, 0.265, 0.554)
O (0.588, 0.216, 0.814)
O (0.588, 0.284, 0.314)
O (0.912, 0.728, 0.311)
O (0.912, 0.772, 0.811)
O (0.928, 0.722, 0.554)
O (0.928, 0.778, 0.054)

Summary:
Corrected total energy (MP2020 scheme): -9.545 eV per atom
Magnetic moment: 0.000 μB/cell
Uncorrected energy: -8.753 eV/atom
Energy relative to the elements: -2.978 eV/atom